A geometry-optimized Sr2NdGaCu2O7 structure. Source: the Materials Project, functional GGA-PBE.

* ΔE_f: -237.9 kJ per mole of atoms
* energy above the most stable polymorph in this dataset: 0 meV per atom
* crystal system: orthorhombic
* space group: Ima2, No. 46

Lattice parameters (Å, degrees): 12.282 12.282 12.282 37.13 153.70 154.27
Sites, in units of the cell vectors:
Sr 0.019 0.153 0.172
Sr 0.019 0.347 0.366
Sr 0.981 0.653 0.634
Sr 0.981 0.847 0.828
Nd 0.001 0.001 0.000
Nd 0.001 0.501 0.500
Ga 0.397 0.718 0.179
Ga 0.539 0.218 0.821
Cu 0.501 0.577 0.074
Cu 0.501 0.927 0.423
Cu 0.503 0.077 0.577
Cu 0.503 0.427 0.926
O 0.002 0.319 0.818
O 0.002 0.684 0.183
O 0.003 0.186 0.686
O 0.003 0.816 0.317
O 0.239 0.869 0.870
O 0.487 0.212 0.631
O 0.487 0.357 0.776
O 0.499 0.316 0.314
O 0.499 0.686 0.683
O 0.501 0.184 0.182
O 0.501 0.819 0.817
O 0.581 0.712 0.224
O 0.581 0.857 0.369
O 0.999 0.369 0.130

---

A geometry-optimized GaCu4Ni15 structure. Source: the Materials Project, functional GGA-PBE.

* ΔE_f: -2.7 kJ per mole of atoms
* crystal system: tetragonal
* space group: P4/mmm, No. 123

Lattice parameters (Å, degrees): 3.544 3.544 17.673 90.00 90.00 90.00
Sites, in units of the cell vectors:
Ga 0.000 0.000 0.000
Cu 0.000 0.000 0.200
Cu 0.000 0.000 0.400
Cu 0.000 0.000 0.600
Cu 0.000 0.000 0.800
Ni 0.000 0.500 0.100
Ni 0.000 0.500 0.300
Ni 0.000 0.500 0.500
Ni 0.000 0.500 0.700
Ni 0.000 0.500 0.900
Ni 0.500 0.000 0.100
Ni 0.500 0.000 0.300
Ni 0.500 0.000 0.500
Ni 0.500 0.000 0.700
Ni 0.500 0.000 0.900
Ni 0.500 0.500 0.000
Ni 0.500 0.500 0.200
Ni 0.500 0.500 0.400
Ni 0.500 0.500 0.600
Ni 0.500 0.500 0.800

---

A geometry-optimized GaCuO2 structure. Source: the Materials Project, functional GGA-PBE.

* ΔE_f: -161.6 kJ per mole of atoms
* crystal system: hexagonal
* space group: P6_3/mmc, No. 194

Lattice parameters (Å, degrees): 3.013 3.013 11.548 90.00 90.00 120.00
Sites, in units of the cell vectors:
Ga 0.000 0.000 0.000
Ga 0.000 0.000 0.500
Cu 0.333 0.667 0.250
Cu 0.667 0.333 0.750
O 0.333 0.667 0.088
O 0.333 0.667 0.412
O 0.667 0.333 0.588
O 0.667 0.333 0.912

---

Repeat the first record exactly.
A geometry-optimized Sr2NdGaCu2O7 structure. Source: the Materials Project, functional GGA-PBE.

* ΔE_f: -237.9 kJ per mole of atoms
* energy above the most stable polymorph in this dataset: 0 meV per atom
* crystal system: orthorhombic
* space group: Ima2, No. 46

Lattice parameters (Å, degrees): 12.282 12.282 12.282 37.13 153.70 154.27
Sites, in units of the cell vectors:
Sr 0.019 0.153 0.172
Sr 0.019 0.347 0.366
Sr 0.981 0.653 0.634
Sr 0.981 0.847 0.828
Nd 0.001 0.001 0.000
Nd 0.001 0.501 0.500
Ga 0.397 0.718 0.179
Ga 0.539 0.218 0.821
Cu 0.501 0.577 0.074
Cu 0.501 0.927 0.423
Cu 0.503 0.077 0.577
Cu 0.503 0.427 0.926
O 0.002 0.319 0.818
O 0.002 0.684 0.183
O 0.003 0.186 0.686
O 0.003 0.816 0.317
O 0.239 0.869 0.870
O 0.487 0.212 0.631
O 0.487 0.357 0.776
O 0.499 0.316 0.314
O 0.499 0.686 0.683
O 0.501 0.184 0.182
O 0.501 0.819 0.817
O 0.581 0.712 0.224
O 0.581 0.857 0.369
O 0.999 0.369 0.130

---

Question: Number 2 is which compound?
Answer: GaCu4Ni15

---

Question: Look up the ΔE_f of the second one.
Answer: -2.7 kJ per mole of atoms